Entry 1:
! Ba2SnSe4 meta-GGA r2SCAN relaxed; values from VASP
! Theoretical density: 5.04 Mg/m³
! Space-group type: P2_1/c
! Formation energy: -11.0 eV per formula unit
&SYSTEM
  ibrav = 0, nat = 28, ntyp = 3
/
ATOMIC_SPECIES
Se 78.96 Se.upf
Ba 137.33 Ba.upf
Sn 118.71 Sn.upf
ATOMIC_POSITIONS crystal
Se 0.382 0.761 0.212
Se 0.118 0.761 0.712
Se 0.130 0.577 0.042
Se 0.618 0.239 0.788
Se 0.630 0.423 0.458
Ba 0.652 0.534 0.160
Ba 0.152 0.466 0.340
Ba 0.885 0.906 0.843
Ba 0.115 0.094 0.157
Ba 0.615 0.906 0.343
Ba 0.348 0.466 0.840
Se 0.020 0.237 0.609
Sn 0.814 0.195 0.493
Sn 0.186 0.805 0.507
Se 0.691 0.911 0.606
Se 0.370 0.577 0.542
Ba 0.848 0.534 0.660
Se 0.480 0.237 0.109
Se 0.520 0.763 0.891
Se 0.309 0.089 0.394
Sn 0.314 0.805 0.007
Sn 0.686 0.195 0.993
Se 0.191 0.089 0.894
Se 0.980 0.763 0.391
Se 0.870 0.423 0.958
Se 0.882 0.239 0.288
Ba 0.385 0.094 0.657
Se 0.809 0.911 0.106
CELL_PARAMETERS angstrom
9.408 0.000 0.000
0.000 8.647 0.015
0.000 5.122 11.488

=====

Entry 2:
! Ba3ThSe7 meta-GGA r2SCAN relaxed; values from VASP
! Theoretical density: 5.58 Mg/m³
! Space-group type: Imm2
! Formation energy: -20.6 eV per formula unit
&SYSTEM
  ibrav = 0, nat = 11, ntyp = 3
/
ATOMIC_SPECIES
Ba 137.33 Ba.upf
Se 78.96 Se.upf
Th 232.04 Th.upf
ATOMIC_POSITIONS crystal
Ba 0.761 0.855 0.624
Se 0.232 0.728 0.808
Se 0.906 0.389 0.800
Ba 0.239 0.376 0.145
Se 0.797 0.710 0.290
Se 0.094 0.200 0.611
Th 0.000 0.000 0.000
Se 0.500 0.058 0.942
Se 0.768 0.192 0.272
Se 0.203 0.710 0.290
Ba 0.500 0.408 0.592
CELL_PARAMETERS angstrom
4.635 2.223 2.828
-2.508 5.745 5.681
0.448 -3.158 7.835

=====

Entry 3:
! BaTm2Se4 meta-GGA r2SCAN relaxed; values from VASP
! Theoretical density: 6.62 Mg/m³
! Space-group type: Pnma
! Formation energy: -15.9 eV per formula unit
&SYSTEM
  ibrav = 0, nat = 28, ntyp = 3
/
ATOMIC_SPECIES
Se 78.96 Se.upf
Tm 168.93 Tm.upf
Ba 137.33 Ba.upf
ATOMIC_POSITIONS crystal
Se 0.250 0.294 0.659
Tm 0.750 0.921 0.400
Se 0.250 0.084 0.924
Se 0.250 0.584 0.576
Se 0.750 0.416 0.424
Ba 0.250 0.740 0.165
Tm 0.750 0.437 0.609
Se 0.750 0.525 0.783
Ba 0.250 0.240 0.335
Se 0.750 0.206 0.159
Ba 0.750 0.760 0.665
Se 0.750 0.706 0.341
Tm 0.750 0.937 0.891
Se 0.750 0.623 0.024
Se 0.250 0.794 0.841
Tm 0.250 0.079 0.600
Se 0.750 0.123 0.476
Tm 0.250 0.579 0.900
Tm 0.250 0.063 0.109
Se 0.250 0.877 0.524
Se 0.250 0.475 0.217
Tm 0.750 0.421 0.100
Se 0.750 0.916 0.076
Tm 0.250 0.563 0.391
Se 0.250 0.975 0.283
Se 0.750 0.025 0.717
Se 0.250 0.377 0.976
Ba 0.750 0.260 0.835
CELL_PARAMETERS angstrom
-2.272 -3.459 0.329
0.703 -1.660 -12.610
12.531 -8.064 1.761

=====

Entry 4:
! Ba4USe6 meta-GGA r2SCAN relaxed; values from VASP
! Theoretical density: 5.61 Mg/m³
! Space-group type: R-3c
! Formation energy: -23.6 eV per formula unit
&SYSTEM
  ibrav = 0, nat = 22, ntyp = 3
/
ATOMIC_SPECIES
Se 78.96 Se.upf
U 238.03 U.upf
Ba 137.33 Ba.upf
ATOMIC_POSITIONS crystal
Se 0.577 0.798 0.439
Se 0.298 0.077 0.939
U 0.000 0.000 0.000
Se 0.561 0.423 0.202
Ba 0.624 0.250 0.876
Se 0.439 0.577 0.798
Se 0.202 0.561 0.423
Se 0.798 0.439 0.577
Se 0.077 0.939 0.298
Se 0.923 0.061 0.702
Se 0.939 0.298 0.077
Ba 0.250 0.250 0.250
Ba 0.750 0.124 0.376
Ba 0.876 0.624 0.250
Ba 0.750 0.750 0.750
Ba 0.376 0.750 0.124
Ba 0.124 0.376 0.750
Se 0.061 0.702 0.923
Ba 0.250 0.876 0.624
Se 0.423 0.202 0.561
U 0.500 0.500 0.500
Se 0.702 0.923 0.061
CELL_PARAMETERS angstrom
-0.204 0.622 -9.049
0.038 -9.045 -0.706
-9.071 -0.130 0.112

=====

Entry 5:
! BaY2Se4 meta-GGA r2SCAN relaxed; values from VASP
! Theoretical density: 5.12 Mg/m³
! Space-group type: Pnma
! Formation energy: -16.1 eV per formula unit
&SYSTEM
  ibrav = 0, nat = 28, ntyp = 3
/
ATOMIC_SPECIES
Se 78.96 Se.upf
Y 88.91 Y.upf
Ba 137.33 Ba.upf
ATOMIC_POSITIONS crystal
Se 0.250 0.375 0.975
Y 0.750 0.921 0.400
Ba 0.750 0.259 0.836
Se 0.250 0.085 0.924
Se 0.250 0.794 0.837
Se 0.750 0.706 0.337
Se 0.250 0.476 0.217
Se 0.750 0.206 0.163
Y 0.750 0.421 0.100
Y 0.250 0.064 0.109
Ba 0.250 0.741 0.164
Se 0.250 0.294 0.663
Y 0.250 0.579 0.900
Se 0.250 0.875 0.525
Se 0.250 0.976 0.283
Se 0.750 0.024 0.717
Se 0.750 0.125 0.475
Se 0.750 0.415 0.424
Y 0.750 0.936 0.891
Ba 0.750 0.759 0.664
Se 0.750 0.915 0.076
Y 0.250 0.564 0.391
Y 0.250 0.079 0.600
Se 0.250 0.585 0.576
Ba 0.250 0.241 0.336
Se 0.750 0.625 0.025
Se 0.750 0.524 0.783
Y 0.750 0.436 0.609
CELL_PARAMETERS angstrom
4.206 0.000 0.000
0.000 12.819 0.000
0.000 0.000 15.188

=====

Entry 6:
! Ba3Sn5 meta-GGA r2SCAN relaxed; values from VASP
! Theoretical density: 5.81 Mg/m³
! Space-group type: Cmcm
! Formation energy: -5.4 eV per formula unit
&SYSTEM
  ibrav = 0, nat = 16, ntyp = 2
/
ATOMIC_SPECIES
Sn 118.71 Sn.upf
Ba 137.33 Ba.upf
ATOMIC_POSITIONS crystal
Sn 0.405 0.023 0.750
Ba 0.707 0.293 0.500
Sn 0.803 0.803 0.062
Sn 0.197 0.197 0.938
Sn 0.803 0.803 0.438
Ba 0.149 0.149 0.250
Sn 0.553 0.553 0.250
Ba 0.293 0.707 0.500
Sn 0.023 0.405 0.750
Sn 0.977 0.595 0.250
Ba 0.707 0.293 0.000
Ba 0.293 0.707 0.000
Ba 0.851 0.851 0.750
Sn 0.197 0.197 0.562
Sn 0.595 0.977 0.250
Sn 0.447 0.447 0.750
CELL_PARAMETERS angstrom
-7.089 -1.138 0.717
2.623 -6.610 1.223
0.738 2.326 10.988